A relaxed structure of LiB. Source: the Materials Project, functional PBE-GGA.

Calculated values
**Offset from the most stable computed form**: 71 meV/atom
**Total DFT energy (no corrections)**: -17.6 eV/cell
**SG**: No. 74
**Calculated density**: 1.09 g cm⁻³

Unit cell a=4.4808 b=4.4808 c=4.4808 alpha=139.81 beta=101.59 gamma=92.02
Last column: nearest neighbours and their distance in Å.
Positions (direct):
Li (0.5000, 0.0000, 0.5000)  2 B 2.21
Li (0.0000, 0.5000, 0.5000)  2 B 2.21
B (0.9729, 0.7500, 0.2229)  2 B 1.57
B (0.0271, 0.2500, 0.7771)  2 B 1.57